A) ## Te2MoW3Se4S2 (PBE-GGA)

Data for an optimized crystal structure of Te2MoW3Se4S2.

* space group: No. 156
* magnetization: 0.001 μB/f.u.

a = 3.345 Å, b = 3.345 Å, c = 38.107 Å
α = 90.00°, β = 90.00°, γ = 120.00°
Fractional coordinates of all 12 atoms:
Te 0.667 0.333 0.420
Te 0.667 0.333 0.520
Mo 0.667 0.333 0.282
W 0.333 0.667 0.094
W 0.333 0.667 0.470
W 0.667 0.333 0.658
Se 0.333 0.667 0.701
Se 0.667 0.333 0.050
Se 0.667 0.333 0.138
Se 0.333 0.667 0.614
S 0.333 0.667 0.322
S 0.333 0.667 0.242

***

B) ## Te2MoW3Se4S2 (PBE-GGA)

Data for an optimized crystal structure of Te2MoW3Se4S2.

* space group: No. 156
* magnetization: 0.008 μB/f.u.

a = 3.343 Å, b = 3.343 Å, c = 38.072 Å
α = 90.00°, β = 90.00°, γ = 120.00°
Fractional coordinates of all 12 atoms:
Te 0.000 0.000 0.708
Te 0.000 0.000 0.607
Mo 0.000 0.000 0.470
W 0.000 0.000 0.094
W 0.333 0.667 0.282
W 0.333 0.667 0.658
Se 0.000 0.000 0.326
Se 0.333 0.667 0.426
Se 0.333 0.667 0.513
Se 0.000 0.000 0.238
S 0.333 0.667 0.054
S 0.333 0.667 0.134

***

Which is most stable, and by how much? B), by 0.016 eV/atom.